Entry 1:
DyBiPt after structural relaxation, computed with meta-GGA r2SCAN.

Calculated values
The value obtained for the formation energy is -1.18 eV/atom.

Cell lengths 6.6915, 6.6915, 6.6915 Å; angles 90.00, 90.00, 90.00 degrees
Space group F-43m (No. 216)
Symmetry-distinct sites (fractional):
1 Dy 0.0000 0.0000 0.0000 (multiplicity 4)
2 Bi 0.0000 0.0000 0.5000 (multiplicity 4)
3 Pt 0.2500 0.2500 0.2500 (multiplicity 4)

Entry 2:
La5Sb3Br after structural relaxation, computed with meta-GGA r2SCAN.

Calculated values
The value obtained for the formation energy is -1.44 eV/atom.

Cell lengths 9.6698, 9.6698, 6.8194 Å; angles 90.00, 90.00, 120.00 degrees
Space group P6_3/mcm (No. 193)
Symmetry-distinct sites (fractional):
1 La 0.0000 0.2753 0.2500 (multiplicity 6)
2 La 0.3333 0.6667 0.0000 (multiplicity 4)
3 Sb 0.0000 0.3826 0.7500 (multiplicity 6)
4 Br 0.0000 0.0000 0.0000 (multiplicity 2)

Entry 3:
SrAg2Sn2 after structural relaxation, computed with meta-GGA r2SCAN.

Calculated values
The value obtained for the formation energy is -0.37 eV/atom.

Cell lengths 4.7101, 4.7101, 11.6062 Å; angles 90.00, 90.00, 90.00 degrees
Space group I4/mmm (No. 139)
Symmetry-distinct sites (fractional):
1 Sr 0.0000 0.0000 0.0000 (multiplicity 2)
2 Ag 0.0000 0.5000 0.2500 (multiplicity 4)
3 Sn 0.0000 0.0000 0.3788 (multiplicity 4)

Entry 4:
HoTm3 after structural relaxation, computed with meta-GGA r2SCAN.

Calculated values
The value obtained for the formation energy is -0.02 eV/atom.

Cell lengths 7.0783, 7.0783, 5.6889 Å; angles 90.00, 90.00, 120.00 degrees
Space group P6_3/mmc (No. 194)
Symmetry-distinct sites (fractional):
1 Ho 0.3333 0.6667 0.2500 (multiplicity 2)
2 Tm 0.1661 0.3323 0.7500 (multiplicity 6)

Entry 5:
Sr2Rh after structural relaxation, computed with meta-GGA r2SCAN.

Calculated values
The value obtained for the formation energy is -0.08 eV/atom.

Cell lengths 7.3019, 7.3019, 7.3019 Å; angles 90.00, 90.00, 90.00 degrees
Space group Fm-3m (No. 225)
Symmetry-distinct sites (fractional):
1 Sr 0.2500 0.2500 0.2500 (multiplicity 8)
2 Rh 0.0000 0.0000 0.0000 (multiplicity 4)

Entry 6:
LiH4SNO4 after structural relaxation, computed with meta-GGA r2SCAN.

Calculated values
The value obtained for the formation energy is -1.28 eV/atom.

Cell lengths 10.2465, 4.9027, 16.8801 Å; angles 90.00, 90.00, 90.00 degrees
Space group Pca2_1 (No. 29)
Symmetry-distinct sites (fractional):
1 Li 0.0262 0.0445 0.0000 (multiplicity 4)
2 Li 0.2214 0.5442 0.9953 (multiplicity 4)
3 H 0.0048 0.3000 0.6383 (multiplicity 4)
4 H 0.0128 0.5229 0.2232 (multiplicity 4)
5 H 0.0335 0.6376 0.6390 (multiplicity 4)
6 H 0.1190 0.4799 0.1466 (multiplicity 4)
7 H 0.1293 0.9779 0.8482 (multiplicity 4)
8 H 0.2177 0.8666 0.3586 (multiplicity 4)
9 H 0.2369 0.0071 0.7719 (multiplicity 4)
10 H 0.2486 0.2032 0.3540 (multiplicity 4)
11 S 0.0245 0.4552 0.3984 (multiplicity 4)
12 S 0.2276 0.0451 0.5973 (multiplicity 4)
13 N 0.0233 0.5163 0.1621 (multiplicity 4)
14 N 0.2250 0.0148 0.8329 (multiplicity 4)
15 O 0.0127 0.1557 0.4059 (multiplicity 4)
16 O 0.0284 0.4539 0.8226 (multiplicity 4)
17 O 0.0485 0.4152 0.9645 (multiplicity 4)
18 O 0.0873 0.9715 0.5906 (multiplicity 4)
19 O 0.1647 0.5291 0.4047 (multiplicity 4)
20 O 0.1989 0.9145 0.0316 (multiplicity 4)
21 O 0.2206 0.9551 0.1734 (multiplicity 4)
22 O 0.2394 0.3445 0.5895 (multiplicity 4)

Entry 7:
ZrSn2 after structural relaxation, computed with meta-GGA r2SCAN.

Calculated values
The value obtained for the formation energy is -0.44 eV/atom.

Cell lengths 5.7049, 9.6618, 9.9422 Å; angles 90.00, 90.00, 90.00 degrees
Space group Fddd (No. 70, origin choice 2)
Symmetry-distinct sites (fractional):
1 Zr 0.1250 0.1250 0.1250 (multiplicity 8)
2 Sn 0.1250 0.2942 0.6250 (multiplicity 16)

Entry 8:
K3AsF6 after structural relaxation, computed with meta-GGA r2SCAN.

Calculated values
The value obtained for the formation energy is -2.56 eV/atom.

Cell lengths 8.2889, 10.4867, 6.6837 Å; angles 90.00, 111.71, 90.00 degrees
Space group C2/m (No. 12)
Symmetry-distinct sites (fractional):
1 K 0.0000 0.0000 0.0000 (multiplicity 2)
2 K 0.2500 0.2500 0.5000 (multiplicity 4)
3 As 0.0000 0.0000 0.5000 (multiplicity 2)
4 F 0.0782 0.1448 0.7240 (multiplicity 8)
5 F 0.2241 0.0000 0.4346 (multiplicity 4)

Entry 9:
CaZn2Ge2 after structural relaxation, computed with meta-GGA r2SCAN.

Calculated values
The value obtained for the formation energy is -0.37 eV/atom.

Cell lengths 4.2605, 4.2605, 10.5926 Å; angles 90.00, 90.00, 90.00 degrees
Space group I4/mmm (No. 139)
Symmetry-distinct sites (fractional):
1 Ca 0.0000 0.0000 0.0000 (multiplicity 2)
2 Zn 0.0000 0.5000 0.2500 (multiplicity 4)
3 Ge 0.0000 0.0000 0.3826 (multiplicity 4)

Entry 10:
ThCdRh2 after structural relaxation, computed with meta-GGA r2SCAN.

Calculated values
The value obtained for the formation energy is -0.65 eV/atom.

Cell lengths 6.7790, 6.7790, 6.7790 Å; angles 90.00, 90.00, 90.00 degrees
Space group Fm-3m (No. 225)
Symmetry-distinct sites (fractional):
1 Th 0.0000 0.0000 0.0000 (multiplicity 4)
2 Cd 0.0000 0.0000 0.5000 (multiplicity 4)
3 Rh 0.2500 0.2500 0.2500 (multiplicity 8)

Entry 11:
CeCrS3 after structural relaxation, computed with meta-GGA r2SCAN.

Calculated values
The value obtained for the formation energy is -1.71 eV/atom.

Cell lengths 7.8666, 3.7707, 13.0755 Å; angles 90.00, 90.00, 90.00 degrees
Space group Pnma (No. 62)
Symmetry-distinct sites (fractional):
1 Ce 0.0848 0.2500 0.1721 (multiplicity 4)
2 Cr 0.1604 0.7500 0.4473 (multiplicity 4)
3 S 0.0140 0.7500 0.6066 (multiplicity 4)
4 S 0.1625 0.7500 0.0059 (multiplicity 4)
5 S 0.1966 0.2500 0.7871 (multiplicity 4)

Entry 12:
Ca2VN3 after structural relaxation, computed with meta-GGA r2SCAN.

Calculated values
The value obtained for the formation energy is -1.41 eV/atom.

Cell lengths 5.5923, 10.4146, 11.6140 Å; angles 90.00, 92.21, 90.00 degrees
Space group C2/c (No. 15)
Symmetry-distinct sites (fractional):
1 Ca 0.2285 0.1125 0.4231 (multiplicity 8)
2 Ca 0.2399 0.2030 0.8523 (multiplicity 8)
3 V 0.2334 0.5002 0.3376 (multiplicity 8)
4 N 0.0000 0.0056 0.2500 (multiplicity 4)
5 N 0.0000 0.4111 0.7500 (multiplicity 4)
6 N 0.1766 0.3370 0.3709 (multiplicity 8)
7 N 0.2160 0.0926 0.0379 (multiplicity 8)

Entry 13:
NaIO3 after structural relaxation, computed with meta-GGA r2SCAN.

Calculated values
The value obtained for the formation energy is -1.00 eV/atom.

Cell lengths 6.3727, 8.0074, 5.7129 Å; angles 90.00, 90.00, 90.00 degrees
Space group Pnma (No. 62)
Symmetry-distinct sites (fractional):
1 Na 0.0000 0.0000 0.0000 (multiplicity 4)
2 I 0.0090 0.2500 0.4887 (multiplicity 4)
3 O 0.0944 0.2500 0.7899 (multiplicity 4)
4 O 0.1648 0.0818 0.3636 (multiplicity 8)

Entry 14:
ErNi after structural relaxation, computed with meta-GGA r2SCAN.

Calculated values
The value obtained for the formation energy is -0.45 eV/atom.

Cell lengths 7.0001, 4.0743, 5.3455 Å; angles 90.00, 90.00, 90.00 degrees
Space group Pnma (No. 62)
Symmetry-distinct sites (fractional):
1 Er 0.1804 0.2500 0.1326 (multiplicity 4)
2 Ni 0.0355 0.2500 0.6236 (multiplicity 4)

Entry 15:
Ce2MgNi2 after structural relaxation, computed with meta-GGA r2SCAN.

Calculated values
The value obtained for the formation energy is -0.25 eV/atom.

Cell lengths 7.5753, 7.5753, 3.5407 Å; angles 90.00, 90.00, 90.00 degrees
Space group P4/mbm (No. 127)
Symmetry-distinct sites (fractional):
1 Ce 0.1682 0.3318 0.0000 (multiplicity 4)
2 Mg 0.0000 0.0000 0.5000 (multiplicity 2)
3 Ni 0.1282 0.6282 0.5000 (multiplicity 4)

Entry 16:
BaF3 after structural relaxation, computed with meta-GGA r2SCAN.

Calculated values
The value obtained for the formation energy is -3.08 eV/atom.

Cell lengths 4.7090, 4.4737, 6.3914 Å; angles 90.00, 90.22, 90.00 degrees
Space group P2_1/m (No. 11)
Symmetry-distinct sites (fractional):
1 Ba 0.2488 0.2500 0.2825 (multiplicity 2)
2 F 0.0489 0.2500 0.8665 (multiplicity 2)
3 F 0.2498 0.7500 0.5292 (multiplicity 2)
4 F 0.4595 0.2500 0.8669 (multiplicity 2)

Entry 17:
Na4W9O27 after structural relaxation, computed with meta-GGA r2SCAN.

Calculated values
The value obtained for the formation energy is -2.32 eV/atom.

Cell lengths 17.9980, 5.4271, 11.5177 Å; angles 90.00, 115.25, 90.00 degrees
Space group C2/m (No. 12)
Symmetry-distinct sites (fractional):
1 Na 0.9999 0.0000 0.1674 (multiplicity 4)
2 Na 0.1668 0.5000 0.6113 (multiplicity 4)
3 W 0.0000 0.5000 0.0000 (multiplicity 2)
4 W 0.0008 0.5000 0.6672 (multiplicity 4)
5 W 0.1664 0.0000 0.4443 (multiplicity 4)
6 W 0.1676 0.0000 0.1107 (multiplicity 4)
7 W 0.1682 0.0000 0.7800 (multiplicity 4)
8 O 0.0000 0.5000 0.1668 (multiplicity 4)
9 O 0.0000 0.5000 0.5000 (multiplicity 2)
10 O 0.0815 0.2449 0.0543 (multiplicity 8)
11 O 0.0831 0.2500 0.3888 (multiplicity 8)
12 O 0.0835 0.2500 0.7223 (multiplicity 8)
13 O 0.1651 0.0000 0.9434 (multiplicity 4)
14 O 0.1667 0.0000 0.2780 (multiplicity 4)
15 O 0.1668 0.0000 0.6111 (multiplicity 4)
16 O 0.2493 0.2527 0.8312 (multiplicity 8)
17 O 0.2500 0.2500 0.5000 (multiplicity 4)